Entry 1:
Compound: HoGaCo
Source: the Materials Project database
Functional: r2SCAN
Structure: optimized geometry

Magnetization ... 0.00 μB per formula unit
SG ... No. 62
ρ ... 9.5 Mg/m³
E_form ... -45 kJ per mole of atoms
V ... 17.134 Å³/atom

Cell lengths 4.3702, 6.7357, 6.9851 Å; angles 90.00, 90.00, 90.00 degrees
Positions (direct):
Ga 0.2500 0.8913 0.6953
Co 0.2500 0.5627 0.8499
Co 0.7500 0.4373 0.1501
Ga 0.2500 0.6087 0.1953
Co 0.2500 0.9373 0.3499
Co 0.7500 0.0627 0.6501
Ho 0.7500 0.6958 0.4759
Ho 0.7500 0.8042 0.9759
Ga 0.7500 0.3912 0.8047
Ga 0.7500 0.1088 0.3047
Ho 0.2500 0.3042 0.5241
Ho 0.2500 0.1958 0.0241

***

Entry 2:
Compound: CaZnGe
Source: the Materials Project database
Functional: r2SCAN
Structure: optimized geometry

Magnetization ... 0.00 μB per formula unit
SG ... No. 194
ρ ... 4.6 Mg/m³
E_form ... -60 kJ per mole of atoms
V ... 21.668 Å³/atom

Cell lengths 4.2562, 4.2562, 8.2871 Å; angles 90.00, 90.00, 120.00 degrees
Positions (direct):
Ca 0.0000 0.0000 0.5000
Ca 0.0000 0.0000 0.0000
Zn 0.6667 0.3333 0.7500
Zn 0.3333 0.6667 0.2500
Ge 0.3333 0.6667 0.7500
Ge 0.6667 0.3333 0.2500

***

Entry 3:
Compound: GePd2
Source: the Materials Project database
Functional: r2SCAN
Structure: optimized geometry

Magnetization ... 0.00 μB per formula unit
SG ... No. 189
ρ ... 10.5 Mg/m³
E_form ... -51 kJ per mole of atoms
V ... 15.079 Å³/atom

Cell lengths 6.6931, 6.6931, 3.4979 Å; angles 90.00, 90.00, 120.00 degrees
Positions (direct):
Ge 0.0000 0.0000 0.5000
Ge 0.3333 0.6667 0.0000
Pd 0.7334 0.7334 0.0000
Pd 0.6064 0.0000 0.5000
Pd 0.0000 0.6064 0.5000
Pd 0.2666 0.0000 0.0000
Pd 0.3936 0.3936 0.5000
Pd 0.0000 0.2666 0.0000
Ge 0.6667 0.3333 0.0000